[1]
Below is a geometry-optimized Mo2C3N6 structure, with properties calculated at the PBE level.

Structure (extended XYZ):
```
22
Lattice="10.640 -0.661 -0.404 1.539 4.891 0.000 -28.842 9.078 5.583" Properties=species:S:1:pos:R:3 pbc="T T T"
C -1.376 4.018 0.470
C -0.352 6.384 1.917
C -15.287 9.289 4.709
C -16.311 6.924 3.262
C 3.945 3.246 0.992
C -9.968 9.401 3.783
N 8.117 3.775 0.239
N -7.842 4.249 1.692
N -21.744 10.439 4.484
N -15.131 6.628 3.059
N 5.081 2.869 0.695
N -6.851 6.577 3.030
N -1.532 6.679 2.120
N -0.240 3.585 0.267
N -16.423 9.723 4.912
N -8.821 9.059 3.487
N -24.780 9.532 4.940
N -9.812 6.731 2.149
Mo -8.590 5.391 3.318
Mo -22.494 12.456 4.653
Mo -8.073 7.916 1.861
Mo 5.831 0.852 0.526
```

Values from the calculation:
* polymorph energy (0 for the lowest one): 0.0 meV/atom
* MP2020-corrected energy: -200.602 eV per cell
* energy of formation from the pure elements: -0.90 eV/f.u.


[2]
Below is a geometry-optimized Ba2CuTeO6 structure, with properties calculated at the PBE level.

Structure (extended XYZ):
```
20
Lattice="1.305 -0.840 5.732 5.619 0.008 1.920 1.628 9.372 3.928" Properties=species:S:1:pos:R:3 pbc="T T T"
Te 0.000 0.000 0.000
Te 4.276 4.270 5.790
O 2.852 0.392 5.641
O 5.363 5.066 7.197
O 5.111 0.836 3.645
O 5.786 3.155 5.203
O 2.708 8.040 4.854
O 3.441 7.704 7.934
O 5.700 8.148 5.939
O 5.844 0.500 6.725
O 3.189 3.474 4.382
O 2.766 5.385 6.377
O 3.797 2.764 6.960
O 4.755 5.776 4.619
Ba 6.336 7.415 8.822
Ba 1.901 5.748 3.430
Ba 6.651 2.793 8.149
Ba 2.215 1.126 2.758
Cu 4.477 1.526 5.406
Cu 4.075 7.014 6.173
```

Values from the calculation:
* polymorph energy (0 for the lowest one): 0.0 meV/atom
* MP2020-corrected energy: -125.088 eV per cell
* energy of formation from the pure elements: -21.78 eV/f.u.